# 1
DFT (GGA+U) results for Sr2CoSbO6 after structural relaxation.

## Properties
E_form	-2.365	eV per atom
total energy	-6.219	eV per atom
mass density	5857	kg/m3

a b c (Å): 5.7087 5.7526 9.6425
angles (deg): 54.03 90.00 90.00
Last column: nearest neighbours and their distance in Å.
Element x y z (fractional)
O 0.5036 0.3109 0.2430  1 Co 1.92, 1 Sb 2.03
O 0.2543 0.7950 0.9701  1 Sb 2.00, 1 Co 2.09
O 0.9964 0.3109 0.7430  1 Co 1.92, 1 Sb 2.03
O 0.7376 0.7775 0.4706  1 Sb 2.00, 1 Co 2.08
O 0.2457 0.7950 0.4701  1 Sb 2.00, 1 Co 2.09
O 0.7457 0.2050 0.0299  1 Sb 2.00, 1 Co 2.09
O 0.4964 0.6891 0.7570  1 Co 1.92, 1 Sb 2.03
O 0.7543 0.2050 0.5299  1 Sb 2.00, 1 Co 2.09
O 0.2376 0.2225 0.0294  1 Sb 2.00, 1 Co 2.08
O 0.2624 0.2225 0.5294  1 Sb 2.00, 1 Co 2.08
O 0.7624 0.7775 0.9706  1 Sb 2.00, 1 Co 2.08
O 0.0036 0.6891 0.2570  1 Co 1.92, 1 Sb 2.03
Sr 0.4941 0.7523 0.2494  6 O 2.58-2.82
Sr 0.5059 0.2477 0.7506  6 O 2.58-2.82
Sr 0.9941 0.2477 0.2506  6 O 2.58-2.82
Sr 0.0059 0.7523 0.7494  6 O 2.58-2.82
Co 0.0000 0.5000 0.5000  6 O 1.92-2.09
Co 0.5000 0.5000 0.0000  6 O 1.92-2.09
Sb 0.0000 0.0000 0.0000  6 O 2.00-2.03
Sb 0.5000 0.0000 0.5000  6 O 2.00-2.03

# 2
DFT (GGA+U) results for Li3Co2Si2O8 after structural relaxation.

## Properties
relative energy among the computed polymorphs	0.031	eV/atom
E_form	-2.378	eV per atom
total energy	-6.485	eV per atom
mass density	3060	kg/m3

a b c (Å): 5.3302 5.0129 6.5572
angles (deg): 89.70 89.20 90.36
Last column: nearest neighbours and their distance in Å.
Element x y z (fractional)
O 0.1724 0.1122 0.5504  1 Si 1.59
O 0.6171 0.0973 0.7566  1 Si 1.65
O 0.3825 0.5585 0.2330  1 Si 1.67, 1 Co 1.82
O 0.1698 0.1290 0.9535  1 Si 1.70
O 0.8037 0.6053 0.4598  1 Si 1.62
O 0.3060 0.6715 0.7686  1 Si 1.69
O 0.7150 0.1607 0.2476  1 Si 1.62
O 0.8326 0.5987 0.0375  1 Si 1.72
Si 0.3194 0.0071 0.7443  4 O 1.59-1.70
Si 0.6844 0.4818 0.2555  4 O 1.62-1.72
Co 0.1876 0.5037 0.0111  4 O 1.82-1.96
Co 0.8158 0.0023 0.9974  4 O 1.90-2.04
Li 0.1628 0.4919 0.4937  4 O 1.94-2.17
Li 0.8367 0.9956 0.4925  4 O 1.92-2.14
Li 0.6630 0.4947 0.7240  3 O 1.95-2.12

# 3
DFT (GGA+U) results for TiCu2NiO4 after structural relaxation.

## Properties
relative energy among the computed polymorphs	0.076	eV/atom
E_form	-1.585	eV per atom
total energy	-6.133	eV per atom
mass density	6050	kg/m3

a b c (Å): 3.0029 5.1434 5.5569
angles (deg): 72.16 90.00 90.00
Last column: nearest neighbours and their distance in Å.
Element x y z (fractional)
Cu 0.5000 0.5000 0.0000  6 O 2.34-2.35
Cu 0.0000 0.0000 0.0000  6 O 2.28
Ni 0.0000 0.5000 0.5000  6 O 2.07-2.09
O 0.5000 0.2490 0.7124  1 Ti 1.99, 2 Ni 2.09
O 0.0000 0.2242 0.2958  2 Ti 2.02, 1 Ni 2.07
O 0.0000 0.7758 0.7042  2 Ti 2.02, 1 Ni 2.07
O 0.5000 0.7510 0.2876  1 Ti 1.99, 2 Ni 2.09
Ti 0.5000 0.0000 0.5000  6 O 1.99-2.02

# 4
DFT (GGA+U) results for MgFeCo3O8 after structural relaxation.

## Properties
relative energy among the computed polymorphs	0.000	eV/atom
E_form	-1.492	eV per atom
total energy	-5.977	eV per atom
mass density	4474	kg/m3

a b c (Å): 5.9282 5.8217 5.8208
angles (deg): 58.92 61.32 89.69
Last column: nearest neighbours and their distance in Å.
Element x y z (fractional)
Mg 0.5000 0.5000 0.0000  6 O 2.13-2.14
O 0.7883 0.7537 0.9649  2 Co 1.93, 1 Fe 2.06, 1 Mg 2.13
O 0.2117 0.2463 0.0351  2 Co 1.93, 1 Fe 2.06, 1 Mg 2.13
O 0.2015 0.7518 0.5514  2 Co 1.86-1.87
O 0.2041 0.7131 0.0379  2 Co 1.90-1.92, 1 Fe 2.04
O 0.2041 0.2416 0.5096  2 Co 1.90-1.92, 1 Fe 2.04
O 0.7985 0.2482 0.4486  2 Co 1.86-1.87
O 0.7959 0.2869 0.9621  2 Co 1.90-1.92, 1 Fe 2.04
O 0.7959 0.7584 0.4904  2 Co 1.90-1.92, 1 Fe 2.04
Co 0.0000 0.5000 0.0000  6 O 1.86-1.93
Co 0.0000 0.0000 0.5000  6 O 1.87-1.93
Co 0.0000 0.5000 0.5000  6 O 1.92-2.12
Fe 0.0000 0.0000 0.0000  6 O 2.04-2.06

- The highest E_form belongs to which entry?
  MgFeCo3O8